{
  "formula": "Ba2AlZnF9",
  "functional": "PBE",
  "state": "optimized geometry",
  "energy_mp2020_ev_per_atom": -5.748,
  "dft_energy_ev_per_cell": -282.3,
  "delta_e_f_mev_per_atom": -3742,
  "space_group": "Pnma, No. 62",
  "lattice_angstrom": [[17.877, 0.000, 0.000], [0.000, 5.672, 0.000], [0.000, 0.000, 7.522]],
  "species": ["Ba", "Ba", "Ba", "Ba", "Ba", "Ba", "Ba", "Ba", "Al", "Al", "Al", "Al", "Zn", "Zn", "Zn", "Zn", "F", "F", "F", "F", "F", "F", "F", "F", "F", "F", "F", "F", "F", "F", "F", "F", "F", "F", "F", "F", "F", "F", "F", "F", "F", "F", "F", "F", "F", "F", "F", "F", "F", "F", "F", "F"],
  "frac_coords": [[0.036, 0.250, 0.211], [0.216, 0.750, 0.940], [0.284, 0.250, 0.440], [0.464, 0.750, 0.711], [0.536, 0.250, 0.289], [0.716, 0.750, 0.560], [0.784, 0.250, 0.060], [0.964, 0.750, 0.789], [0.126, 0.750, 0.417], [0.374, 0.250, 0.917], [0.626, 0.750, 0.083], [0.874, 0.250, 0.583], [0.089, 0.250, 0.733], [0.411, 0.750, 0.233], [0.589, 0.250, 0.767], [0.911, 0.750, 0.267], [0.037, 0.750, 0.275], [0.076, 0.520, 0.547], [0.076, 0.980, 0.547], [0.081, 0.501, 0.923], [0.081, 0.999, 0.923], [0.163, 0.518, 0.276], [0.163, 0.982, 0.276], [0.197, 0.250, 0.721], [0.204, 0.750, 0.565], [0.296, 0.250, 0.065], [0.303, 0.750, 0.221], [0.337, 0.018, 0.776], [0.337, 0.482, 0.776], [0.419, 0.001, 0.423], [0.419, 0.499, 0.423], [0.424, 0.020, 0.047], [0.424, 0.480, 0.047], [0.463, 0.250, 0.775], [0.537, 0.750, 0.225], [0.576, 0.520, 0.953], [0.576, 0.980, 0.953], [0.581, 0.501, 0.577], [0.581, 0.999, 0.577], [0.663, 0.518, 0.224], [0.663, 0.982, 0.224], [0.697, 0.250, 0.779], [0.704, 0.750, 0.935], [0.796, 0.250, 0.435], [0.803, 0.750, 0.279], [0.837, 0.018, 0.724], [0.837, 0.482, 0.724], [0.919, 0.001, 0.077], [0.919, 0.499, 0.077], [0.924, 0.020, 0.453], [0.924, 0.480, 0.453], [0.963, 0.250, 0.725]]
}

{
  "formula": "La2Zr2O7",
  "functional": "PBE",
  "state": "optimized geometry",
  "energy_mp2020_ev_per_atom": -9.127,
  "dft_energy_ev_per_cell": -191.2,
  "delta_e_f_mev_per_atom": -3527,
  "space_group": "Fd-3m, No. 227",
  "lattice_angstrom": [[0.000, 5.375, 5.375], [5.375, 0.000, 5.375], [5.375, 5.375, 0.000]],
  "species": ["La", "La", "La", "La", "Zr", "Zr", "Zr", "Zr", "O", "O", "O", "O", "O", "O", "O", "O", "O", "O", "O", "O", "O", "O"],
  "frac_coords": [[0.000, 0.000, 0.000], [0.000, 0.000, 0.500], [0.000, 0.500, 0.000], [0.500, 0.000, 0.000], [0.000, 0.500, 0.500], [0.500, 0.000, 0.500], [0.500, 0.500, 0.000], [0.500, 0.500, 0.500], [0.133, 0.133, 0.617], [0.133, 0.617, 0.133], [0.133, 0.617, 0.617], [0.375, 0.375, 0.375], [0.383, 0.383, 0.867], [0.383, 0.867, 0.383], [0.383, 0.867, 0.867], [0.617, 0.133, 0.133], [0.617, 0.133, 0.617], [0.617, 0.617, 0.133], [0.625, 0.625, 0.625], [0.867, 0.383, 0.383], [0.867, 0.383, 0.867], [0.867, 0.867, 0.383]]
}

{
  "formula": "CrN2",
  "functional": "PBE",
  "state": "optimized geometry",
  "energy_mp2020_ev_per_atom": -8.840,
  "dft_energy_ev_per_cell": -103.2,
  "delta_e_f_mev_per_atom": -64,
  "space_group": "C222_1, No. 20",
  "lattice_angstrom": [[4.223, -4.764, 0.000], [4.223, 4.764, 0.000], [0.000, 0.000, 5.104]],
  "species": ["Cr", "Cr", "Cr", "Cr", "N", "N", "N", "N", "N", "N", "N", "N"],
  "frac_coords": [[0.034, 0.347, 0.133], [0.347, 0.034, 0.867], [0.653, 0.966, 0.367], [0.966, 0.653, 0.633], [0.089, 0.522, 0.391], [0.137, 0.863, 0.750], [0.257, 0.257, 0.000], [0.478, 0.911, 0.109], [0.522, 0.089, 0.609], [0.743, 0.743, 0.500], [0.863, 0.137, 0.250], [0.911, 0.478, 0.891]]
}

{
  "formula": "LaSF",
  "functional": "PBE",
  "state": "optimized geometry",
  "energy_mp2020_ev_per_atom": -7.082,
  "dft_energy_ev_per_cell": -40.6,
  "delta_e_f_mev_per_atom": -3420,
  "space_group": "P4/nmm, No. 129",
  "lattice_angstrom": [[4.053, 0.000, 0.000], [0.000, 4.053, 0.000], [0.000, 0.000, 7.023]],
  "species": ["La", "La", "S", "S", "F", "F"],
  "frac_coords": [[0.250, 0.250, 0.232], [0.750, 0.750, 0.768], [0.250, 0.250, 0.649], [0.750, 0.750, 0.351], [0.250, 0.750, 0.000], [0.750, 0.250, 0.000]]
}

{
  "formula": "NaMgP3O9",
  "functional": "PBE",
  "state": "optimized geometry",
  "energy_mp2020_ev_per_atom": -7.341,
  "dft_energy_ev_per_cell": -1545.4,
  "delta_e_f_mev_per_atom": -2791,
  "space_group": "Pa-3, No. 205",
  "lattice_angstrom": [[14.432, 0.000, 0.000], [0.000, 14.432, 0.000], [0.000, 0.000, 14.432]],
  "species": ["Na", "Na", "Na", "Na", "Na", "Na", "Na", "Na", "Na", "Na", "Na", "Na", "Na", "Na", "Na", "Na", "Mg", "Mg", "Mg", "Mg", "Mg", "Mg", "Mg", "Mg", "Mg", "Mg", "Mg", "Mg", "Mg", "Mg", "Mg", "Mg", "P", "P", "P", "P", "P", "P", "P", "P", "P", "P", "P", "P", "P", "P", "P", "P", "P", "P", "P", "P", "P", "P", "P", "P", "P", "P", "P", "P", "P", "P", "P", "P", "P", "P", "P", "P", "P", "P", "P", "P", "P", "P", "P", "P", "P", "P", "P", "P", "O", "O", "O", "O", "O", "O", "O", "O", "O", "O", "O", "O", "O", "O", "O", "O", "O", "O", "O", "O", "O", "O", "O", "O", "O", "O", "O", "O", "O", "O", "O", "O", "O", "O", "O", "O", "O", "O", "O", "O", "O", "O", "O", "O", "O", "O", "O", "O", "O", "O", "O", "O", "O", "O", "O", "O", "O", "O", "O", "O", "O", "O", "O", "O", "O", "O", "O", "O", "O", "O", "O", "O", "O", "O", "O", "O", "O", "O", "O", "O", "O", "O", "O", "O", "O", "O", "O", "O", "O", "O", "O", "O", "O", "O", "O", "O", "O", "O", "O", "O", "O", "O", "O", "O", "O", "O", "O", "O", "O", "O", "O", "O", "O", "O", "O", "O", "O", "O", "O", "O", "O", "O", "O", "O", "O", "O", "O", "O", "O", "O", "O", "O", "O", "O", "O", "O", "O", "O", "O", "O", "O", "O", "O", "O"],
  "frac_coords": [[0.000, 0.000, 0.000], [0.000, 0.000, 0.500], [0.000, 0.500, 0.000], [0.000, 0.500, 0.500], [0.250, 0.250, 0.250], [0.250, 0.250, 0.750], [0.250, 0.750, 0.250], [0.250, 0.750, 0.750], [0.500, 0.000, 0.000], [0.500, 0.000, 0.500], [0.500, 0.500, 0.000], [0.500, 0.500, 0.500], [0.750, 0.250, 0.250], [0.750, 0.250, 0.750], [0.750, 0.750, 0.250], [0.750, 0.750, 0.750], [0.125, 0.125, 0.125], [0.125, 0.375, 0.625], [0.130, 0.630, 0.870], [0.130, 0.870, 0.370], [0.370, 0.130, 0.870], [0.370, 0.370, 0.370], [0.375, 0.625, 0.125], [0.375, 0.875, 0.625], [0.625, 0.125, 0.375], [0.625, 0.375, 0.875], [0.630, 0.630, 0.630], [0.630, 0.870, 0.130], [0.870, 0.130, 0.630], [0.870, 0.370, 0.130], [0.875, 0.625, 0.375], [0.875, 0.875, 0.875], [0.012, 0.228, 0.775], [0.012, 0.272, 0.275], [0.022, 0.024, 0.757], [0.022, 0.476, 0.257], [0.024, 0.743, 0.522], [0.024, 0.757, 0.022], [0.225, 0.512, 0.272], [0.225, 0.988, 0.772], [0.228, 0.725, 0.512], [0.228, 0.775, 0.012], [0.243, 0.522, 0.476], [0.243, 0.978, 0.976], [0.257, 0.022, 0.476], [0.257, 0.478, 0.976], [0.272, 0.225, 0.512], [0.272, 0.275, 0.012], [0.275, 0.012, 0.272], [0.275, 0.488, 0.772], [0.476, 0.243, 0.522], [0.476, 0.257, 0.022], [0.478, 0.524, 0.757], [0.478, 0.976, 0.257], [0.488, 0.728, 0.775], [0.488, 0.772, 0.275], [0.512, 0.228, 0.725], [0.512, 0.272, 0.225], [0.522, 0.024, 0.743], [0.522, 0.476, 0.243], [0.524, 0.743, 0.978], [0.524, 0.757, 0.478], [0.725, 0.512, 0.228], [0.725, 0.988, 0.728], [0.728, 0.725, 0.988], [0.728, 0.775, 0.488], [0.743, 0.522, 0.024], [0.743, 0.978, 0.524], [0.757, 0.022, 0.024], [0.757, 0.478, 0.524], [0.772, 0.225, 0.988], [0.772, 0.275, 0.488], [0.775, 0.012, 0.228], [0.775, 0.488, 0.728], [0.976, 0.243, 0.978], [0.976, 0.257, 0.478], [0.978, 0.524, 0.743], [0.978, 0.976, 0.243], [0.988, 0.728, 0.725], [0.988, 0.772, 0.225], [0.010, 0.226, 0.376], [0.010, 0.274, 0.876], [0.016, 0.035, 0.166], [0.016, 0.465, 0.666], [0.031, 0.534, 0.831], [0.031, 0.966, 0.331], [0.034, 0.669, 0.969], [0.034, 0.831, 0.469], [0.035, 0.166, 0.016], [0.035, 0.334, 0.516], [0.045, 0.124, 0.803], [0.045, 0.376, 0.303], [0.084, 0.723, 0.767], [0.084, 0.777, 0.267], [0.087, 0.224, 0.223], [0.087, 0.276, 0.723], [0.124, 0.510, 0.226], [0.124, 0.697, 0.545], [0.124, 0.803, 0.045], [0.124, 0.990, 0.726], [0.166, 0.016, 0.035], [0.166, 0.484, 0.535], [0.169, 0.531, 0.966], [0.169, 0.969, 0.466], [0.197, 0.545, 0.376], [0.197, 0.955, 0.876], [0.223, 0.087, 0.224], [0.223, 0.413, 0.724], [0.223, 0.733, 0.916], [0.223, 0.767, 0.416], [0.224, 0.223, 0.087], [0.224, 0.277, 0.587], [0.226, 0.124, 0.510], [0.226, 0.376, 0.010], [0.233, 0.584, 0.777], [0.233, 0.916, 0.277], [0.267, 0.084, 0.777], [0.267, 0.416, 0.277], [0.274, 0.624, 0.510], [0.274, 0.876, 0.010], [0.276, 0.723, 0.087], [0.276, 0.777, 0.587], [0.277, 0.233, 0.916], [0.277, 0.267, 0.416], [0.277, 0.587, 0.224], [0.277, 0.913, 0.724], [0.303, 0.045, 0.376], [0.303, 0.455, 0.876], [0.331, 0.031, 0.966], [0.331, 0.469, 0.466], [0.334, 0.516, 0.035], [0.334, 0.984, 0.535], [0.376, 0.010, 0.226], [0.376, 0.197, 0.545], [0.376, 0.303, 0.045], [0.376, 0.490, 0.726], [0.413, 0.724, 0.223], [0.413, 0.776, 0.723], [0.416, 0.223, 0.767], [0.416, 0.277, 0.267], [0.455, 0.624, 0.803], [0.455, 0.876, 0.303], [0.465, 0.666, 0.016], [0.465, 0.834, 0.516], [0.466, 0.169, 0.969], [0.466, 0.331, 0.469], [0.469, 0.034, 0.831], [0.469, 0.466, 0.331], [0.484, 0.535, 0.166], [0.484, 0.965, 0.666], [0.490, 0.726, 0.376], [0.490, 0.774, 0.876], [0.510, 0.226, 0.124], [0.510, 0.274, 0.624], [0.516, 0.035, 0.334], [0.516, 0.465, 0.834], [0.531, 0.534, 0.669], [0.531, 0.966, 0.169], [0.534, 0.669, 0.531], [0.534, 0.831, 0.031], [0.535, 0.166, 0.484], [0.535, 0.334, 0.984], [0.545, 0.124, 0.697], [0.545, 0.376, 0.197], [0.584, 0.723, 0.733], [0.584, 0.777, 0.233], [0.587, 0.224, 0.277], [0.587, 0.276, 0.777], [0.624, 0.510, 0.274], [0.624, 0.697, 0.955], [0.624, 0.803, 0.455], [0.624, 0.990, 0.774], [0.666, 0.016, 0.465], [0.666, 0.484, 0.965], [0.669, 0.531, 0.534], [0.669, 0.969, 0.034], [0.697, 0.545, 0.124], [0.697, 0.955, 0.624], [0.723, 0.087, 0.276], [0.723, 0.413, 0.776], [0.723, 0.733, 0.584], [0.723, 0.767, 0.084], [0.724, 0.223, 0.413], [0.724, 0.277, 0.913], [0.726, 0.124, 0.990], [0.726, 0.376, 0.490], [0.733, 0.584, 0.723], [0.733, 0.916, 0.223], [0.767, 0.084, 0.723], [0.767, 0.416, 0.223], [0.774, 0.624, 0.990], [0.774, 0.876, 0.490], [0.776, 0.723, 0.413], [0.776, 0.777, 0.913], [0.777, 0.233, 0.584], [0.777, 0.267, 0.084], [0.777, 0.587, 0.276], [0.777, 0.913, 0.776], [0.803, 0.045, 0.124], [0.803, 0.455, 0.624], [0.831, 0.031, 0.534], [0.831, 0.469, 0.034], [0.834, 0.516, 0.465], [0.834, 0.984, 0.965], [0.876, 0.010, 0.274], [0.876, 0.197, 0.955], [0.876, 0.303, 0.455], [0.876, 0.490, 0.774], [0.913, 0.724, 0.277], [0.913, 0.776, 0.777], [0.916, 0.223, 0.733], [0.916, 0.277, 0.233], [0.955, 0.624, 0.697], [0.955, 0.876, 0.197], [0.965, 0.666, 0.484], [0.965, 0.834, 0.984], [0.966, 0.169, 0.531], [0.966, 0.331, 0.031], [0.969, 0.034, 0.669], [0.969, 0.466, 0.169], [0.984, 0.535, 0.334], [0.984, 0.965, 0.834], [0.990, 0.726, 0.124], [0.990, 0.774, 0.624]]
}

{
  "formula": "KNdTi4O12",
  "functional": "PBE",
  "state": "optimized geometry",
  "energy_mp2020_ev_per_atom": -8.290,
  "dft_energy_ev_per_cell": -141.0,
  "delta_e_f_mev_per_atom": -2910,
  "space_group": "Amm2, No. 38",
  "lattice_angstrom": [[7.860, 0.000, 0.000], [0.000, 3.884, 3.880], [0.000, -3.884, 3.880]],
  "species": ["K", "Nd", "Ti", "Ti", "Ti", "Ti", "O", "O", "O", "O", "O", "O", "O", "O", "O", "O", "O", "O"],
  "frac_coords": [[0.000, 0.000, 0.000], [0.500, 0.516, 0.516], [0.240, 0.011, 0.504], [0.240, 0.504, 0.011], [0.760, 0.011, 0.504], [0.760, 0.504, 0.011], [0.000, 0.016, 0.498], [0.000, 0.498, 0.016], [0.259, 0.745, 0.745], [0.271, 0.261, 0.752], [0.271, 0.752, 0.261], [0.279, 0.268, 0.268], [0.500, 0.517, 0.988], [0.500, 0.988, 0.517], [0.721, 0.268, 0.268], [0.729, 0.261, 0.752], [0.729, 0.752, 0.261], [0.741, 0.745, 0.745]]
}